Computed, not measured: a relaxed BaNaScSi2O7 crystal at the PBE-GGA level of DFT.

Cell and atoms, written as POSCAR:
```
BaNaScSi2O7
1.0
5.692 0.000 0.000
0.000 6.914 0.000
0.000 2.972 8.421
Ba Na Sc Si O
2 2 2 4 14
Direct
0.250 0.794 0.534
0.750 0.206 0.466
0.750 0.231 0.998
0.250 0.769 0.002
0.750 0.798 0.265
0.250 0.202 0.735
0.750 0.860 0.843
0.250 0.140 0.157
0.750 0.553 0.681
0.250 0.447 0.319
0.750 0.615 0.847
0.250 0.385 0.153
0.991 0.966 0.749
0.491 0.034 0.251
0.009 0.034 0.251
0.509 0.966 0.749
0.750 0.863 0.024
0.250 0.137 0.976
0.750 0.762 0.524
0.250 0.238 0.476
0.513 0.419 0.687
0.013 0.581 0.313
0.487 0.581 0.313
0.987 0.419 0.687
```

Output
Mass density, Mg/m³: 3.74
Formation energy, eV per formula unit: -40.08
Space group: P2_1/m, No. 11
Magnetization, μB per formula unit: 0.0

=====

Computed, not measured: a relaxed BaNaSmSeO6 crystal at the PBE-GGA level of DFT.

Cell and atoms, written as POSCAR:
```
BaNaSmSeO6
1.0
-2.940 -3.946 -3.126
0.069 -5.611 1.582
-4.803 -2.469 2.197
Ba Na Sm Se O
1 1 1 1 6
Direct
0.250 0.250 0.250
0.750 0.750 0.750
0.500 0.500 0.500
0.000 0.000 0.000
0.777 0.223 0.223
0.223 0.777 0.777
0.777 0.223 0.777
0.223 0.777 0.223
0.777 0.777 0.223
0.223 0.223 0.777
```

Output
Mass density, Mg/m³: 5.75
Formation energy, eV per formula unit: -23.84
Space group: F-43m, No. 216
Magnetization, μB per formula unit: 0.0

=====

Computed, not measured: a relaxed Ba6Na2Si4O15 crystal at the PBE-GGA level of DFT.

Cell and atoms, written as POSCAR:
```
Ba6Na2Si4O15
1.0
7.973 0.000 0.000
0.000 9.655 0.000
0.000 3.540 11.130
Ba Na Si O
12 4 8 30
Direct
0.979 0.333 0.916
0.996 0.659 0.585
0.502 0.001 0.226
0.998 0.001 0.726
0.002 0.999 0.274
0.479 0.667 0.584
0.521 0.333 0.416
0.021 0.667 0.084
0.004 0.341 0.415
0.496 0.341 0.915
0.504 0.659 0.085
0.498 0.999 0.774
0.248 0.321 0.669
0.748 0.679 0.831
0.252 0.321 0.169
0.752 0.679 0.331
0.255 0.621 0.345
0.745 0.379 0.655
0.210 0.036 0.991
0.290 0.036 0.491
0.245 0.621 0.845
0.790 0.964 0.009
0.755 0.379 0.155
0.710 0.964 0.509
0.923 0.288 0.682
0.307 0.881 0.030
0.423 0.712 0.818
0.757 0.867 0.148
0.577 0.288 0.182
0.931 0.284 0.175
0.751 0.486 0.013
0.238 0.513 0.757
0.754 0.866 0.920
0.693 0.119 0.970
0.246 0.134 0.080
0.262 0.513 0.257
0.257 0.133 0.352
0.193 0.881 0.530
0.243 0.133 0.852
0.743 0.867 0.648
0.251 0.514 0.487
0.254 0.134 0.580
0.749 0.486 0.513
0.762 0.487 0.243
0.738 0.487 0.743
0.431 0.716 0.325
0.746 0.866 0.420
0.569 0.284 0.675
0.077 0.712 0.318
0.000 0.000 0.000
0.807 0.119 0.470
0.249 0.514 0.987
0.069 0.716 0.825
0.500 0.000 0.500
```

Output
Mass density, Mg/m³: 4.74
Formation energy, eV per formula unit: -86.87
Space group: P2_1/c, No. 14

=====

Computed, not measured: a relaxed BaNa2Ti2Si4O14 crystal at the PBE-GGA level of DFT.

Cell and atoms, written as POSCAR:
```
BaNa2Ti2Si4O14
1.0
2.593 -8.653 -3.530
8.294 -0.118 5.026
-9.167 0.427 3.138
Ba Na Ti Si O
2 4 4 8 28
Direct
0.001 0.728 0.227
0.999 0.226 0.727
0.000 0.978 0.978
0.593 0.812 0.719
0.407 0.126 0.219
0.500 0.978 0.478
0.218 0.172 0.454
0.782 0.236 0.954
0.781 0.737 0.456
0.219 0.675 0.956
0.616 0.432 0.758
0.826 0.537 0.653
0.174 0.827 0.711
0.174 0.432 0.316
0.616 0.827 0.153
0.384 0.142 0.816
0.384 0.537 0.211
0.826 0.142 0.258
0.183 0.266 0.317
0.216 0.463 0.747
0.449 0.266 0.583
0.551 0.134 0.817
0.185 0.831 0.885
0.815 0.700 0.646
0.662 0.487 0.648
0.797 0.041 0.745
0.821 0.342 0.449
0.019 0.879 0.622
0.607 0.627 0.949
0.981 0.602 0.860
0.243 0.602 0.122
0.446 0.831 0.146
0.240 0.092 0.613
0.980 0.092 0.352
0.661 0.986 0.148
0.179 0.627 0.521
0.393 0.342 0.021
0.020 0.372 0.113
0.817 0.134 0.083
0.784 0.531 0.247
0.760 0.372 0.852
0.757 0.879 0.360
0.554 0.700 0.385
0.338 0.986 0.825
0.339 0.487 0.325
0.203 0.948 0.245
```

Output
Mass density, Mg/m³: 3.36
Formation energy, eV per formula unit: -74.07
Space group: Ima2, No. 46
Magnetization, μB per formula unit: 0.0

=====

Number 1: V 331 Å³ per cell, VASP energy -180.67 eV for the cell shown. Number 2: V 140 Å³ per cell, VASP energy -60.86 eV for the cell shown. Number 3: V 857 Å³ per cell, VASP energy -373.30 eV for the cell shown. Number 4: V 609 Å³ per cell, VASP energy -351.57 eV for the cell shown.